Entry from the Materials Project database: a geometry-optimized K3NaMgCr2O8 structure (PBE+U).

E_tot: -5.734 eV per atom
crystal system: monoclinic
energy above the lowest structure with this stoichiometry: 0.0205 eV/atom
energy relative to the elements: -30.4 eV/f.u.

a = 6.1134 Å, b = 6.8334 Å, c = 7.3811 Å
α = 83.38°, β = 90.00°, γ = 116.57°
Element x y z (fractional)
K: 0.0000 0.0000 0.5000
K: 0.7354 0.4708 0.1645
K: 0.2646 0.5292 0.8355
Na: 0.0000 0.0000 0.0000
Mg: 0.5000 0.0000 0.0000
Cr: 0.6733 0.3466 0.7196
Cr: 0.3267 0.6534 0.2804
O: 0.3831 0.1929 0.8498
O: 0.8098 0.1929 0.8498
O: 0.8046 0.6091 0.7693
O: 0.1902 0.8071 0.1502
O: 0.6169 0.8071 0.1502
O: 0.1954 0.3909 0.2307
O: 0.3507 0.7014 0.4961
O: 0.6493 0.2986 0.5039